Density functional theory data (PBE+U) for crystalline LiMnVP2H2O10 at its relaxed geometry.

Summary:
The formation energy is -2308 meV per atom. The value obtained for the electronic total energy is -116.24 eV per cell.

CIF file:
```
data_LiMnVP2H2O10
_symmetry_space_group_name_H-M 'P 1'
_symmetry_Int_Tables_number 1
_cell_length_a 5.173
_cell_length_b 5.314
_cell_length_c 7.351
_cell_angle_alpha 108.30
_cell_angle_beta 107.43
_cell_angle_gamma 93.96
loop_
_symmetry_equiv_pos_as_xyz
'x,y,z'
loop_
_atom_site_label
_atom_site_type_symbol
_atom_site_fract_x
_atom_site_fract_y
_atom_site_fract_z
_atom_site_occupancy
Li1 Li 0.000 0.000 0.000 1
Mn1 Mn 0.001 0.508 0.021 1
V1 V 0.500 0.007 0.518 1
P1 P 0.400 0.604 0.776 1
P2 P 0.601 0.410 0.262 1
H1 H 0.000 0.140 0.696 1
H2 H 0.999 0.890 0.339 1
O1 O 0.154 0.884 0.287 1
O2 O 0.194 0.685 0.891 1
O3 O 0.302 0.323 0.108 1
O4 O 0.328 0.295 0.661 1
O5 O 0.364 0.762 0.629 1
O6 O 0.638 0.254 0.411 1
O7 O 0.670 0.719 0.376 1
O8 O 0.698 0.690 0.929 1
O9 O 0.807 0.328 0.147 1
O10 O 0.849 0.133 0.751 1
```

Density functional theory data (PBE+U) for crystalline Li2MnVP2H2O10 at its relaxed geometry.

Summary:
The formation energy is -2401 meV per atom. The value obtained for the electronic total energy is -244.28 eV per cell.

CIF file:
```
data_Li2MnVP2H2O10
_symmetry_space_group_name_H-M 'P -1'
_symmetry_Int_Tables_number 2
_cell_length_a 6.956
_cell_length_b 7.415
_cell_length_c 8.052
_cell_angle_alpha 91.70
_cell_angle_beta 92.29
_cell_angle_gamma 117.49
loop_
_symmetry_equiv_pos_as_xyz
'x,y,z'
'-x,-y,-z'
loop_
_atom_site_label
_atom_site_type_symbol
_atom_site_fract_x
_atom_site_fract_y
_atom_site_fract_z
_atom_site_occupancy
Li1 Li 0.071 0.327 0.175 1
Li2 Li 0.427 0.677 0.324 1
Mn1 Mn 0.000 0.000 0.500 1
Mn2 Mn 0.000 0.500 0.500 1
V1 V 0.500 0.000 0.000 1
V2 V 0.500 0.500 0.000 1
P1 P 0.022 0.734 0.156 1
P2 P 0.477 0.268 0.342 1
H1 H 0.210 0.830 0.648 1
H2 H 0.289 0.161 0.848 1
O1 O 0.036 0.118 0.741 1
O2 O 0.056 0.763 0.605 1
O3 O 0.118 0.624 0.267 1
O4 O 0.176 0.843 0.018 1
O5 O 0.188 0.427 0.943 1
O6 O 0.317 0.157 0.479 1
O7 O 0.318 0.575 0.556 1
O8 O 0.386 0.380 0.226 1
O9 O 0.442 0.225 0.896 1
O10 O 0.468 0.881 0.761 1
```